1.
! Mg14FeBiO16 PBE with a Hubbard U relaxed; values from VASP
! energy relative to the lowest polymorph listed for this composition	0.000	eV per atom
&SYSTEM
  ibrav = 0, nat = 32, ntyp = 4
/
ATOMIC_SPECIES
Mg 24.30 Mg.upf
Fe 55.84 Fe.upf
Bi 208.98 Bi.upf
O 16.00 O.upf
CELL_PARAMETERS angstrom
8.733 0.000 0.000
0.000 8.733 0.000
0.000 0.000 4.419
ATOMIC_POSITIONS crystal
Mg 0.000 0.250 0.000
Mg 0.000 0.500 0.500
Mg 0.000 0.750 0.000
Mg 0.236 0.500 0.000
Mg 0.242 0.242 0.500
Mg 0.242 0.758 0.500
Mg 0.250 0.000 0.000
Mg 0.500 0.000 0.500
Mg 0.500 0.236 0.000
Mg 0.500 0.764 0.000
Mg 0.750 0.000 0.000
Mg 0.758 0.242 0.500
Mg 0.758 0.758 0.500
Mg 0.764 0.500 0.000
Fe 0.000 0.000 0.500
Bi 0.500 0.500 0.500
O 0.000 0.000 0.000
O 0.000 0.254 0.500
O 0.000 0.500 0.000
O 0.000 0.746 0.500
O 0.230 0.500 0.500
O 0.250 0.250 0.000
O 0.250 0.750 0.000
O 0.254 0.000 0.500
O 0.500 0.000 0.000
O 0.500 0.230 0.500
O 0.500 0.500 0.000
O 0.500 0.770 0.500
O 0.746 0.000 0.500
O 0.750 0.250 0.000
O 0.750 0.750 0.000
O 0.770 0.500 0.500

2.
! Nb3VF6 PBE with a Hubbard U relaxed; values from VASP
! energy relative to the lowest polymorph listed for this composition	0.226	eV per atom
&SYSTEM
  ibrav = 0, nat = 10, ntyp = 3
/
ATOMIC_SPECIES
Nb 92.91 Nb.upf
V 50.94 V.upf
F 19.00 F.upf
CELL_PARAMETERS angstrom
5.257 0.000 0.000
2.226 5.753 0.000
0.394 0.026 12.431
ATOMIC_POSITIONS crystal
Nb 0.000 0.000 0.000
Nb 0.000 0.500 0.500
Nb 0.500 0.000 0.000
V 0.000 0.500 0.000
F 0.068 0.740 0.889
F 0.081 0.487 0.649
F 0.338 0.289 0.904
F 0.662 0.711 0.096
F 0.919 0.513 0.351
F 0.932 0.260 0.111

3.
Li4CrSbW2O12 | PBE with a Hubbard U | relaxed Values from VASP.

Structure (Quantum ESPRESSO input):
```
&SYSTEM
  ibrav = 0, nat = 20, ntyp = 5
/
ATOMIC_SPECIES
Li 6.94 Li.upf
Cr 52.00 Cr.upf
Sb 121.76 Sb.upf
W 183.84 W.upf
O 16.00 O.upf
CELL_PARAMETERS angstrom
5.173 0.000 0.000
-0.004 5.437 0.000
-0.005 -0.513 7.486
ATOMIC_POSITIONS crystal
Li 0.000 0.000 0.000
Li 0.006 0.012 0.533
Li 0.500 0.496 0.993
Li 0.508 0.451 0.555
Cr 0.005 0.434 0.800
Sb 0.503 0.934 0.297
W 0.001 0.437 0.299
W 0.506 0.932 0.797
O 0.120 0.425 0.060
O 0.190 0.739 0.369
O 0.202 0.117 0.750
O 0.309 0.240 0.372
O 0.320 0.625 0.751
O 0.373 0.922 0.050
O 0.630 0.920 0.547
O 0.687 0.611 0.237
O 0.698 0.226 0.858
O 0.798 0.738 0.861
O 0.824 0.115 0.238
O 0.891 0.417 0.541
```

4.
! Sr2MgCdWO6 PBE with a Hubbard U relaxed; values from VASP
! energy relative to the lowest polymorph listed for this composition	0.000	eV per atom
&SYSTEM
  ibrav = 0, nat = 11, ntyp = 5
/
ATOMIC_SPECIES
Sr 87.62 Sr.upf
Mg 24.30 Mg.upf
Cd 112.41 Cd.upf
W 183.84 W.upf
O 16.00 O.upf
CELL_PARAMETERS angstrom
5.514 0.000 0.000
-0.677 5.841 0.000
-1.858 -2.566 5.225
ATOMIC_POSITIONS crystal
Sr 0.179 0.237 0.423
Sr 0.821 0.763 0.577
Mg 0.500 0.500 0.000
Cd 0.500 0.000 0.000
W 0.000 0.500 0.000
O 0.173 0.182 0.847
O 0.200 0.633 0.814
O 0.351 0.628 0.301
O 0.649 0.372 0.699
O 0.800 0.367 0.186
O 0.827 0.818 0.153

5.
! Li4Co5SnO12 PBE with a Hubbard U relaxed; values from VASP
! energy relative to the lowest polymorph listed for this composition	0.020	eV per atom
&SYSTEM
  ibrav = 0, nat = 44, ntyp = 4
/
ATOMIC_SPECIES
Li 6.94 Li.upf
Co 58.93 Co.upf
Sn 118.71 Sn.upf
O 16.00 O.upf
CELL_PARAMETERS angstrom
5.041 0.000 0.000
-0.011 8.798 0.000
-0.875 -4.394 9.878
ATOMIC_POSITIONS crystal
Li 0.000 0.000 0.000
Li 0.011 0.327 0.999
Li 0.086 0.251 0.507
Li 0.099 0.586 0.508
Li 0.510 0.831 0.998
Li 0.524 0.497 0.999
Li 0.599 0.082 0.507
Li 0.610 0.754 0.506
Co 0.055 0.123 0.253
Co 0.055 0.457 0.253
Co 0.305 0.534 0.753
Co 0.305 0.873 0.753
Co 0.306 0.205 0.753
Co 0.555 0.623 0.253
Co 0.555 0.956 0.253
Co 0.805 0.373 0.753
Co 0.806 0.043 0.753
Co 0.806 0.702 0.753
Sn 0.056 0.790 0.253
Sn 0.554 0.290 0.252
O 0.144 0.100 0.856
O 0.157 0.420 0.850
O 0.161 0.745 0.857
O 0.216 0.343 0.360
O 0.251 0.022 0.360
O 0.252 0.665 0.360
O 0.358 0.057 0.145
O 0.359 0.415 0.145
O 0.394 0.736 0.146
O 0.446 0.640 0.650
O 0.456 0.321 0.655
O 0.466 0.996 0.650
O 0.640 0.580 0.855
O 0.652 0.921 0.862
O 0.680 0.281 0.863
O 0.717 0.844 0.360
O 0.750 0.165 0.359
O 0.751 0.521 0.360
O 0.859 0.914 0.146
O 0.860 0.559 0.147
O 0.893 0.236 0.145
O 0.930 0.172 0.643
O 0.957 0.811 0.644
O 0.969 0.479 0.651

6.
! Li7Nb2Fe3O16 PBE with a Hubbard U relaxed; values from VASP
! energy relative to the lowest polymorph listed for this composition	0.000	eV per atom
&SYSTEM
  ibrav = 0, nat = 28, ntyp = 4
/
ATOMIC_SPECIES
Li 6.94 Li.upf
Nb 92.91 Nb.upf
Fe 55.84 Fe.upf
O 16.00 O.upf
CELL_PARAMETERS angstrom
5.870 0.000 0.000
-2.900 5.197 0.000
-0.102 -0.214 9.682
ATOMIC_POSITIONS crystal
Li 0.000 0.000 0.000
Li 0.001 0.487 0.186
Li 0.349 0.676 0.494
Li 0.489 0.486 0.184
Li 0.655 0.315 0.395
Li 0.657 0.316 0.902
Li 0.829 0.660 0.680
Nb 0.306 0.611 0.909
Nb 0.993 0.982 0.393
Fe 0.323 0.144 0.676
Fe 0.486 0.971 0.175
Fe 0.830 0.153 0.677
O 0.014 0.016 0.779
O 0.168 0.866 0.554
O 0.171 0.296 0.556
O 0.177 0.357 0.039
O 0.197 0.824 0.051
O 0.325 0.133 0.295
O 0.350 0.691 0.282
O 0.479 0.995 0.790
O 0.488 0.478 0.798
O 0.626 0.826 0.047
O 0.636 0.281 0.091
O 0.646 0.301 0.587
O 0.713 0.879 0.552
O 0.812 0.136 0.295
O 0.831 0.652 0.323
O 0.983 0.468 0.796

7.
KEuW2O8 | PBE with a Hubbard U | relaxed Values from VASP.

Structure (Quantum ESPRESSO input):
```
&SYSTEM
  ibrav = 0, nat = 24, ntyp = 4
/
ATOMIC_SPECIES
K 39.10 K.upf
Eu 151.96 Eu.upf
W 183.84 W.upf
O 16.00 O.upf
CELL_PARAMETERS angstrom
5.531 -5.432 0.000
5.531 5.432 0.000
-4.840 0.000 5.709
ATOMIC_POSITIONS crystal
K 0.206 0.794 0.750
K 0.794 0.206 0.250
Eu 0.226 0.774 0.250
Eu 0.774 0.226 0.750
W 0.300 0.310 0.285
W 0.310 0.300 0.785
W 0.690 0.700 0.215
W 0.700 0.690 0.715
O 0.046 0.220 0.683
O 0.065 0.373 0.132
O 0.220 0.046 0.183
O 0.251 0.375 0.558
O 0.372 0.588 0.028
O 0.373 0.065 0.632
O 0.375 0.251 0.058
O 0.412 0.628 0.472
O 0.588 0.372 0.528
O 0.625 0.749 0.942
O 0.627 0.935 0.368
O 0.628 0.412 0.972
O 0.749 0.625 0.442
O 0.780 0.954 0.817
O 0.935 0.627 0.868
O 0.954 0.780 0.317
```

8.
! Li3FeO4 PBE with a Hubbard U relaxed; values from VASP
! energy relative to the lowest polymorph listed for this composition	0.041	eV per atom
&SYSTEM
  ibrav = 0, nat = 8, ntyp = 3
/
ATOMIC_SPECIES
Li 6.94 Li.upf
Fe 55.84 Fe.upf
O 16.00 O.upf
CELL_PARAMETERS angstrom
2.889 0.000 0.000
0.005 5.023 0.000
0.014 1.523 4.787
ATOMIC_POSITIONS crystal
Li 0.000 0.000 0.000
Li 0.002 0.501 0.497
Li 0.502 0.006 0.502
Fe 0.503 0.501 0.996
O 0.002 0.272 0.226
O 0.004 0.731 0.767
O 0.500 0.728 0.225
O 0.505 0.272 0.768

no.,size of the total moment (Bohr magnetons per cell),formation energy (meV/atom)
1,4.3,-2678
2,8.1,-1398
3,3.0,-2248
4,0.0,-2360
5,4.0,-1657
6,9.0,-2026
7,12.0,-2486
8,3.5,-1764